Entry 1:
# LiV5O7F

LiV5O7F after structural relaxation (GGA+U, the Materials Project).

Results
- Symmetry: R3m
- Energy of formation: -2.51 eV/atom
- Piezoelectric modulus e_max: 0.6 C/m2

a = 6.0196 Å, b = 6.0196 Å, c = 6.0196 Å
α = 61.39°, β = 61.39°, γ = 61.39°
Last column: nearest neighbours and their distance in Å.
Positions (direct):
Li (0.0000, 0.0000, 0.0000)  3 O 1.99, 1 F 2.01
V (0.3785, 0.3785, 0.3785)  6 O 2.11-2.14
V (0.3906, 0.3906, 0.8873)  5 O 1.98-2.10, 1 F 2.18
V (0.3906, 0.8873, 0.3906)  5 O 1.98-2.10, 1 F 2.18
V (0.7677, 0.7677, 0.7677)  4 O 1.98-1.99
V (0.8873, 0.3906, 0.3906)  5 O 1.98-2.10, 1 F 2.18
O (0.1333, 0.1333, 0.6018)  3 V 1.98-2.11, 1 Li 1.99
O (0.1333, 0.6018, 0.1333)  3 V 1.98-2.11, 1 Li 1.99
O (0.1626, 0.6268, 0.6268)  4 V 1.98-2.14
O (0.6018, 0.1333, 0.1333)  3 V 1.98-2.11, 1 Li 1.99
O (0.6268, 0.1626, 0.6268)  4 V 1.98-2.14
O (0.6268, 0.6268, 0.1626)  4 V 1.98-2.14
O (0.6315, 0.6315, 0.6315)  4 V 1.99-2.08
F (0.1376, 0.1376, 0.1376)  1 Li 2.01, 3 V 2.18

Entry 2:
# Li2Fe3P4O14

Li2Fe3P4O14 after structural relaxation (GGA+U, the Materials Project).

Results
- Symmetry: P2_1/c
- Energy of formation: -2.48 eV/atom

a = 7.4071 Å, b = 7.9331 Å, c = 9.6841 Å
α = 90.00°, β = 110.21°, γ = 90.00°
Last column: nearest neighbours and their distance in Å.
Positions (direct):
Li (0.2044, 0.0820, 0.1391)  3 O 1.97-2.05
Li (0.2044, 0.4180, 0.6391)  3 O 1.97-2.05
Li (0.7956, 0.5820, 0.3609)  3 O 1.97-2.05
Li (0.7956, 0.9180, 0.8609)  3 O 1.97-2.05
Fe (0.3067, 0.1231, 0.4784)  5 O 2.09-2.17
Fe (0.3067, 0.3769, 0.9784)  5 O 2.09-2.17
Fe (0.5000, 0.0000, 0.0000)  6 O 2.13-2.20
Fe (0.5000, 0.5000, 0.5000)  6 O 2.13-2.20
Fe (0.6933, 0.6231, 0.0216)  5 O 2.09-2.17
Fe (0.6933, 0.8769, 0.5216)  5 O 2.09-2.17
P (0.0969, 0.0501, 0.7178)  4 O 1.53-1.63
P (0.0969, 0.4499, 0.2178)  4 O 1.53-1.63
P (0.3807, 0.7059, 0.1941)  4 O 1.52-1.60
P (0.3807, 0.7941, 0.6941)  4 O 1.52-1.60
P (0.6193, 0.2059, 0.3059)  4 O 1.52-1.60
P (0.6193, 0.2941, 0.8059)  4 O 1.52-1.60
P (0.9031, 0.5501, 0.7822)  4 O 1.53-1.63
P (0.9031, 0.9499, 0.2822)  4 O 1.53-1.63
O (0.1116, 0.5046, 0.7998)  1 P 1.54
O (0.1116, 0.9954, 0.2998)  1 P 1.54
O (0.1183, 0.1715, 0.6020)  1 P 1.53
O (0.1183, 0.3285, 0.1020)  1 P 1.53
O (0.1780, 0.6338, 0.1911)  2 P 1.60-1.63
O (0.1780, 0.8662, 0.6911)  2 P 1.60-1.63
O (0.2174, 0.1084, 0.8752)  1 P 1.55
O (0.2174, 0.3916, 0.3752)  1 P 1.55
O (0.3432, 0.6232, 0.6186)  1 P 1.52
O (0.3432, 0.8768, 0.1186)  1 P 1.52
O (0.4644, 0.5815, 0.1100)  1 P 1.54
O (0.4644, 0.9185, 0.6100)  1 P 1.54
O (0.4917, 0.2098, 0.1410)  1 P 1.55
O (0.4917, 0.2902, 0.6410)  1 P 1.55
O (0.5083, 0.7098, 0.3590)  1 P 1.55
O (0.5083, 0.7902, 0.8590)  1 P 1.55
O (0.5356, 0.0815, 0.3900)  1 P 1.54
O (0.5356, 0.4185, 0.8900)  1 P 1.54
O (0.6568, 0.1232, 0.8814)  1 P 1.52
O (0.6568, 0.3768, 0.3814)  1 P 1.52
O (0.7826, 0.6084, 0.6248)  1 P 1.55
O (0.7826, 0.8916, 0.1248)  1 P 1.55
O (0.8220, 0.1338, 0.3089)  2 P 1.60-1.63
O (0.8220, 0.3662, 0.8089)  2 P 1.60-1.63
O (0.8817, 0.6715, 0.8980)  1 P 1.53
O (0.8817, 0.8285, 0.3980)  1 P 1.53
O (0.8884, 0.0046, 0.7002)  1 P 1.54
O (0.8884, 0.4954, 0.2002)  1 P 1.54

Entry 3:
# LiCr2P3O12

LiCr2P3O12 after structural relaxation (GGA+U, the Materials Project).

Results
- Symmetry: R-3c
- Energy of formation: -2.46 eV/atom

a = 8.4550 Å, b = 8.4550 Å, c = 8.4550 Å
α = 60.28°, β = 60.28°, γ = 60.28°
Last column: nearest neighbours and their distance in Å.
Positions (direct):
Li (0.0000, 0.0000, 0.0000)  6 O 2.23
Li (0.5000, 0.5000, 0.5000)  6 O 2.23
Cr (0.1397, 0.1397, 0.1397)  6 O 1.89-1.93
Cr (0.3603, 0.3603, 0.3603)  6 O 1.89-1.93
Cr (0.6397, 0.6397, 0.6397)  6 O 1.89-1.93
Cr (0.8603, 0.8603, 0.8603)  6 O 1.89-1.93
P (0.0383, 0.7500, 0.4617)  4 O 1.54-1.55
P (0.2500, 0.5383, 0.9617)  4 O 1.54-1.55
P (0.4617, 0.0383, 0.7500)  4 O 1.54-1.55
P (0.5383, 0.9617, 0.2500)  4 O 1.54-1.55
P (0.7500, 0.4617, 0.0383)  4 O 1.54-1.55
P (0.9617, 0.2500, 0.5383)  4 O 1.54-1.55
O (0.0022, 0.8075, 0.6259)  1 P 1.54
O (0.0568, 0.9180, 0.2663)  1 P 1.55
O (0.0820, 0.7337, 0.9432)  1 P 1.55
O (0.1259, 0.3075, 0.5022)  1 P 1.54
O (0.1925, 0.3741, 0.9978)  1 P 1.54
O (0.2337, 0.5820, 0.4432)  1 P 1.55
O (0.2663, 0.0568, 0.9180)  1 P 1.55
O (0.3075, 0.5022, 0.1259)  1 P 1.54
O (0.3741, 0.9978, 0.1925)  1 P 1.54
O (0.4180, 0.5568, 0.7663)  1 P 1.55
O (0.4432, 0.2337, 0.5820)  1 P 1.55
O (0.4978, 0.8741, 0.6925)  1 P 1.54
O (0.5022, 0.1259, 0.3075)  1 P 1.54
O (0.5568, 0.7663, 0.4180)  1 P 1.55
O (0.5820, 0.4432, 0.2337)  1 P 1.55
O (0.6259, 0.0022, 0.8075)  1 P 1.54
O (0.6925, 0.4978, 0.8741)  1 P 1.54
O (0.7337, 0.9432, 0.0820)  1 P 1.55
O (0.7663, 0.4180, 0.5568)  1 P 1.55
O (0.8075, 0.6259, 0.0022)  1 P 1.54
O (0.8741, 0.6925, 0.4978)  1 P 1.54
O (0.9180, 0.2663, 0.0568)  1 P 1.55
O (0.9432, 0.0820, 0.7337)  1 P 1.55
O (0.9978, 0.1925, 0.3741)  1 P 1.54

The calculation returns the following theoretical density values, one per record and in order: 4.1; 3.3; 3.1 Mg/m³.
The calculation returns the following energy relative to the lowest polymorph listed for this composition values, one per record and in order: 0.000; 0.000; 0.011 eV per atom.
The calculation returns the following corrected total energy (MP2020 scheme) values, one per record and in order: -119.019; -177.096; -141.036 eV per formula unit.